# 1
Below is a geometry-optimized Y9C4I8O structure, with properties calculated at the PBE level.

Energy (eV/cell): -277.9

a b c (Å): 3.862 11.367 29.168
angles (deg): 90.00 90.00 90.00
Fractional coordinates of all 44 atoms:
Y  0.500  0.470  0.886
Y  0.500  0.326  0.671
Y  0.000  0.399  0.221
Y  0.500  0.601  0.279
Y  0.000  0.530  0.386
Y  0.000  0.530  0.614
Y  0.000  0.264  0.566
Y  0.000  0.674  0.829
Y  0.500  0.736  0.934
Y  0.500  0.601  0.721
Y  0.500  0.736  0.066
Y  0.500  0.454  0.500
Y  0.000  0.546  0.000
Y  0.000  0.674  0.171
Y  0.500  0.470  0.114
Y  0.000  0.399  0.779
Y  0.500  0.326  0.329
Y  0.000  0.264  0.434
I  0.500  0.897  0.147
I  0.000  0.103  0.647
I  0.500  0.093  0.500
I  0.000  0.813  0.738
I  0.000  0.260  0.877
I  0.000  0.260  0.123
I  0.000  0.666  0.500
I  0.500  0.187  0.762
I  0.000  0.813  0.262
I  0.000  0.103  0.353
I  0.500  0.897  0.853
I  0.500  0.334  0.000
I  0.000  0.907  0.000
I  0.500  0.740  0.623
I  0.500  0.187  0.238
I  0.500  0.740  0.377
C  0.500  0.536  0.805
C  0.000  0.610  0.088
C  0.000  0.464  0.695
C  0.500  0.536  0.195
C  0.500  0.390  0.588
C  0.000  0.464  0.305
C  0.000  0.610  0.912
C  0.500  0.390  0.412
O  0.000  0.357  0.500
O  0.500  0.643  0.000

# 2
Below is a geometry-optimized Rb3FeS3 structure, with properties calculated at the PBE level.

Energy (eV/cell): -120.3

a b c (Å): 10.253 10.253 12.928
angles (deg): 90.00 90.00 140.16
Fractional coordinates of all 28 atoms:
Rb  0.522  0.168  0.873
Rb  0.832  0.478  0.127
Rb  0.168  0.522  0.873
Rb  0.478  0.832  0.127
Rb  0.332  0.978  0.373
Rb  0.022  0.668  0.627
Rb  0.636  0.636  0.822
Rb  0.364  0.364  0.178
Rb  0.668  0.022  0.627
Rb  0.864  0.864  0.322
Rb  0.978  0.332  0.373
Rb  0.136  0.136  0.678
S  0.711  0.711  0.569
S  0.503  0.208  0.619
S  0.003  0.708  0.881
S  0.208  0.503  0.619
S  0.211  0.211  0.931
S  0.792  0.497  0.381
S  0.497  0.792  0.381
S  0.789  0.789  0.069
S  0.997  0.292  0.119
S  0.292  0.997  0.119
S  0.708  0.003  0.881
S  0.289  0.289  0.431
Fe  0.081  0.919  0.000
Fe  0.919  0.081  0.000
Fe  0.419  0.581  0.500
Fe  0.581  0.419  0.500

# 3
Below is a geometry-optimized Ta3SiTe6 structure, with properties calculated at the PBE level.

Energy (eV/cell): -254.9

a b c (Å): 6.410 11.573 15.025
angles (deg): 90.00 90.00 90.00
Fractional coordinates of all 40 atoms:
Ta  0.032  0.312  0.750
Ta  0.302  0.967  0.750
Ta  0.666  0.336  0.250
Ta  0.834  0.836  0.750
Ta  0.532  0.188  0.750
Ta  0.198  0.467  0.250
Ta  0.968  0.688  0.250
Ta  0.468  0.812  0.250
Ta  0.698  0.033  0.250
Ta  0.802  0.533  0.750
Ta  0.334  0.664  0.750
Ta  0.166  0.164  0.250
Te  0.349  0.318  0.122
Te  0.645  0.997  0.872
Te  0.296  0.656  0.125
Te  0.651  0.682  0.878
Te  0.855  0.497  0.372
Te  0.651  0.682  0.622
Te  0.355  0.003  0.128
Te  0.204  0.156  0.875
Te  0.704  0.344  0.875
Te  0.849  0.182  0.122
Te  0.151  0.818  0.878
Te  0.145  0.503  0.872
Te  0.796  0.844  0.125
Te  0.145  0.503  0.628
Te  0.704  0.344  0.625
Te  0.645  0.997  0.628
Te  0.796  0.844  0.375
Te  0.204  0.156  0.625
Te  0.849  0.182  0.378
Te  0.151  0.818  0.622
Te  0.855  0.497  0.128
Te  0.355  0.003  0.372
Te  0.296  0.656  0.375
Te  0.349  0.318  0.378
Si  0.925  0.075  0.750
Si  0.575  0.575  0.250
Si  0.425  0.425  0.750
Si  0.075  0.925  0.250

# 4
Below is a geometry-optimized LiSbAu structure, with properties calculated at the PBE level.

Energy (eV/cell): -10.3

a b c (Å): 4.557 4.557 4.557
angles (deg): 60.00 60.00 60.00
Fractional coordinates of all 3 atoms:
Sb  0.250  0.250  0.250
Li  0.000  0.000  0.000
Au  0.500  0.500  0.500

# 5
Below is a geometry-optimized Sr2La4Mg2RuO12 structure, with properties calculated at the PBE level.

Energy (eV/cell): -307.2
Energy above the most stable polymorph in this dataset (kJ/mol of atoms): 0.00

a b c (Å): 3.940 3.940 41.449
angles (deg): 106.59 106.59 89.72
Fractional coordinates of all 42 atoms:
La  0.649  0.649  0.712
La  0.337  0.337  0.289
La  0.348  0.348  0.621
La  0.343  0.343  0.787
La  0.351  0.351  0.455
La  0.657  0.657  0.380
La  0.652  0.652  0.546
La  0.663  0.663  0.878
O  0.994  0.495  0.832
O  0.500  0.000  0.167
O  0.000  0.500  0.000
O  0.165  0.165  0.223
O  0.839  0.839  0.773
O  0.000  0.500  0.167
O  0.501  0.001  0.500
O  0.495  0.994  0.832
O  0.001  0.501  0.500
O  0.133  0.133  0.889
O  0.159  0.159  0.560
O  0.999  0.499  0.666
O  0.835  0.835  0.944
O  0.867  0.867  0.277
O  0.499  0.999  0.666
O  0.841  0.841  0.607
O  0.840  0.840  0.113
O  0.843  0.843  0.441
O  0.157  0.157  0.725
O  0.505  0.006  0.335
O  0.161  0.161  0.394
O  0.006  0.505  0.335
O  0.500  0.000  0.000
O  0.160  0.160  0.054
Ru  0.999  0.999  0.999
Ru  0.001  0.001  0.167
Sr  0.353  0.353  0.118
Sr  0.643  0.643  0.216
Sr  0.647  0.647  0.049
Sr  0.357  0.357  0.951
Mg  0.999  0.999  0.666
Mg  0.001  0.001  0.500
Mg  0.003  0.003  0.334
Mg  0.997  0.997  0.832

# 6
Below is a geometry-optimized CeScGe structure, with properties calculated at the PBE level.

Energy (eV/cell): -37.5

a b c (Å): 8.575 8.575 8.575
angles (deg): 151.09 151.09 41.34
Fractional coordinates of all 6 atoms:
Ge  0.877  0.877  0.000
Ge  0.123  0.123  0.000
Sc  0.000  0.500  0.500
Sc  0.500  0.000  0.500
Ce  0.322  0.322  0.000
Ce  0.678  0.678  0.000

# 7
Below is a geometry-optimized Cs3GeSe3 structure, with properties calculated at the PBE level.

Energy (eV/cell): -98.9

a b c (Å): 10.790 10.790 9.846
angles (deg): 85.24 85.24 80.03
Fractional coordinates of all 28 atoms:
Cs  0.393  0.800  0.873
Cs  0.079  0.921  0.250
Cs  0.921  0.079  0.750
Cs  0.799  0.752  0.694
Cs  0.248  0.201  0.806
Cs  0.409  0.591  0.250
Cs  0.752  0.799  0.194
Cs  0.591  0.409  0.750
Cs  0.200  0.607  0.627
Cs  0.607  0.200  0.127
Cs  0.800  0.393  0.373
Cs  0.201  0.248  0.306
Se  0.226  0.958  0.571
Se  0.054  0.580  0.284
Se  0.774  0.042  0.429
Se  0.042  0.774  0.929
Se  0.958  0.226  0.071
Se  0.420  0.946  0.216
Se  0.580  0.054  0.784
Se  0.534  0.709  0.528
Se  0.709  0.534  0.028
Se  0.466  0.291  0.472
Se  0.291  0.466  0.972
Se  0.946  0.420  0.716
Ge  0.565  0.078  0.539
Ge  0.078  0.565  0.039
Ge  0.435  0.922  0.461
Ge  0.922  0.435  0.961

# 8
Below is a geometry-optimized MgSb2O6 structure, with properties calculated at the PBE level.

Energy (eV/cell): -108.4
Maximum piezoelectric response (C/m2): 1.871

a b c (Å): 5.216 5.429 7.575
angles (deg): 90.00 90.00 90.00
Fractional coordinates of all 18 atoms:
Sb  0.003  0.242  0.249
Sb  0.503  0.758  0.749
Sb  0.003  0.242  0.751
Sb  0.503  0.758  0.251
O  0.801  0.543  0.688
O  0.673  0.073  0.684
O  0.897  0.309  0.000
O  0.173  0.927  0.184
O  0.397  0.691  0.500
O  0.801  0.543  0.312
O  0.173  0.927  0.816
O  0.301  0.457  0.812
O  0.301  0.457  0.188
O  0.673  0.073  0.316
O  0.141  0.212  0.500
O  0.641  0.788  0.000
Mg  0.520  0.321  0.500
Mg  0.020  0.679  0.000

# 9
Below is a geometry-optimized ErMg5 structure, with properties calculated at the PBE level.

Energy (eV/cell): -12.4

a b c (Å): 3.257 3.257 15.993
angles (deg): 90.00 90.00 120.00
Fractional coordinates of all 6 atoms:
Mg  0.667  0.333  0.839
Mg  0.667  0.333  0.161
Mg  0.000  0.000  0.677
Mg  0.000  0.000  0.000
Mg  0.000  0.000  0.323
Er  0.667  0.333  0.500

# 10
Below is a geometry-optimized SmGa8Fe2 structure, with properties calculated at the PBE level.

Energy (eV/cell): -197.6

a b c (Å): 4.000 12.698 14.352
angles (deg): 90.00 90.00 90.00
Fractional coordinates of all 44 atoms:
Fe  0.000  0.348  0.597
Fe  0.000  0.152  0.097
Fe  0.000  0.848  0.903
Fe  0.000  0.035  0.406
Fe  0.000  0.535  0.094
Fe  0.000  0.652  0.403
Fe  0.000  0.965  0.594
Fe  0.000  0.465  0.906
Sm  0.000  0.157  0.819
Sm  0.000  0.843  0.181
Sm  0.000  0.343  0.319
Sm  0.000  0.657  0.681
Ga  0.500  0.951  0.318
Ga  0.000  0.901  0.746
Ga  0.000  0.662  0.954
Ga  0.500  0.049  0.682
Ga  0.500  0.332  0.491
Ga  0.000  0.500  0.500
Ga  0.000  0.599  0.246
Ga  0.000  0.099  0.254
Ga  0.500  0.024  0.134
Ga  0.500  0.668  0.509
Ga  0.500  0.336  0.878
Ga  0.500  0.451  0.182
Ga  0.500  0.976  0.866
Ga  0.500  0.168  0.991
Ga  0.500  0.261  0.674
Ga  0.000  0.401  0.754
Ga  0.500  0.239  0.174
Ga  0.000  0.338  0.046
Ga  0.500  0.164  0.378
Ga  0.500  0.524  0.366
Ga  0.000  0.000  0.000
Ga  0.500  0.739  0.326
Ga  0.500  0.761  0.826
Ga  0.500  0.832  0.009
Ga  0.500  0.836  0.622
Ga  0.500  0.476  0.634
Ga  0.500  0.000  0.500
Ga  0.500  0.664  0.122
Ga  0.000  0.838  0.454
Ga  0.000  0.162  0.546
Ga  0.500  0.549  0.818
Ga  0.500  0.500  0.000

# 11
Below is a geometry-optimized Pr2NiGe3 structure, with properties calculated at the PBE level.

Energy (eV/cell): -33.0

a b c (Å): 4.253 4.253 8.368
angles (deg): 90.00 90.00 120.00
Fractional coordinates of all 6 atoms:
Ni  0.667  0.333  0.500
Pr  0.333  0.667  0.730
Pr  0.333  0.667  0.270
Ge  0.000  0.000  0.500
Ge  0.667  0.333  0.000
Ge  0.000  0.000  0.000

# 12
Below is a geometry-optimized Ho2TiO5 structure, with properties calculated at the PBE level.

Energy (eV/cell): -137.5
Energy above the most stable polymorph in this dataset (kJ/mol of atoms): 9.18

a b c (Å): 6.419 6.419 7.539
angles (deg): 68.58 68.58 48.54
Fractional coordinates of all 16 atoms:
O  0.025  0.313  0.360
O  0.247  0.611  0.956
O  0.687  0.975  0.140
O  0.168  0.832  0.250
O  0.611  0.247  0.456
O  0.389  0.753  0.544
O  0.832  0.168  0.750
O  0.313  0.025  0.860
O  0.753  0.389  0.044
O  0.975  0.687  0.640
Ho  0.371  0.352  0.752
Ho  0.629  0.648  0.248
Ho  0.648  0.629  0.748
Ho  0.352  0.371  0.252
Ti  0.000  0.000  0.500
Ti  0.000  0.000  0.000

# 13
Below is a geometry-optimized CaHg structure, with properties calculated at the PBE level.

Energy (eV/cell): -3.4

a b c (Å): 3.812 3.812 3.812
angles (deg): 90.00 90.00 90.00
Fractional coordinates of all 2 atoms:
Hg  0.500  0.500  0.500
Ca  0.000  0.000  0.000

# 14
Below is a geometry-optimized NaZnAsO4 structure, with properties calculated at the PBE level.

Energy (eV/cell): -226.2
Energy above the most stable polymorph in this dataset (kJ/mol of atoms): 1.97

a b c (Å): 8.470 9.132 9.132
angles (deg): 120.00 90.00 90.00
Fractional coordinates of all 42 atoms:
O  0.001  0.779  0.902
O  0.505  0.905  0.431
O  0.005  0.474  0.905
O  0.005  0.095  0.569
O  0.001  0.098  0.877
O  0.501  0.902  0.123
O  0.124  0.806  0.580
O  0.624  0.227  0.806
O  0.624  0.194  0.420
O  0.505  0.526  0.095
O  0.005  0.431  0.526
O  0.311  0.613  0.744
O  0.811  0.744  0.132
O  0.811  0.387  0.256
O  0.001  0.123  0.221
O  0.311  0.256  0.868
O  0.501  0.221  0.098
O  0.501  0.877  0.779
O  0.124  0.773  0.194
O  0.124  0.420  0.227
O  0.624  0.580  0.773
O  0.311  0.132  0.387
O  0.811  0.868  0.613
O  0.505  0.569  0.474
Na  0.818  0.333  0.667
Na  0.318  0.667  0.333
Na  0.357  0.333  0.667
Na  0.857  0.667  0.333
Na  0.297  0.000  0.000
Na  0.797  0.000  0.000
Zn  0.601  0.675  0.023
Zn  0.101  0.325  0.977
Zn  0.601  0.348  0.325
Zn  0.101  0.652  0.675
Zn  0.601  0.977  0.652
Zn  0.101  0.023  0.348
As  0.490  0.310  0.972
As  0.990  0.338  0.310
As  0.490  0.662  0.690
As  0.990  0.972  0.662
As  0.490  0.028  0.338
As  0.990  0.690  0.028

no.,energy of formation from the pure elements (eV/f.u.)
1,-27.36
2,-7.77
3,-6.40
4,-0.97
5,-66.85
6,-1.88
7,-8.34
8,-18.77
9,0.20
10,-3.51
11,-3.79
12,-30.39
13,-1.10
14,-13.41